[1]
Computed, not measured: a geometry-optimized Rb2ZrN2 structure at the PBE level of DFT.

Values from the calculation:
Total magnetization in μB/atom: 0.002

The structure in CIF format:
```
data_Rb2ZrN2
_symmetry_space_group_name_H-M 'P -3 m 1'
_symmetry_Int_Tables_number 164
_symmetry_space_group_name_Hall '-P 3 2"'
_cell_length_a 3.4430
_cell_length_b 3.4430
_cell_length_c 10.9631
_cell_angle_alpha 90.00
_cell_angle_beta 90.00
_cell_angle_gamma 120.00
loop_
_atom_site_label
_atom_site_type_symbol
_atom_site_fract_x
_atom_site_fract_y
_atom_site_fract_z
Rb1 Rb 0.3333 0.6667 0.2177
Zr1 Zr 0.0000 0.0000 0.5000
N1 N 0.3333 0.6667 0.6038
```

[2]
Computed, not measured: a geometry-optimized Be4NiGe structure at the PBE level of DFT.

Values from the calculation:
Total magnetization in μB/atom: 0.000

The structure in CIF format:
```
data_Be4NiGe
_symmetry_space_group_name_H-M 'F -4 3 m'
_symmetry_Int_Tables_number 216
_symmetry_space_group_name_Hall 'F -4 2 3'
_cell_length_a 6.132
_cell_length_b 6.132
_cell_length_c 6.132
_cell_angle_alpha 90.00
_cell_angle_beta 90.00
_cell_angle_gamma 90.00
loop_
_atom_site_label
_atom_site_type_symbol
_atom_site_fract_x
_atom_site_fract_y
_atom_site_fract_z
Be1 Be 0.123 0.123 0.377
Ni1 Ni 0.250 0.250 0.750
Ge1 Ge 0.000 0.000 0.000
```

[3]
Computed, not measured: a geometry-optimized SiO2 structure at the PBE level of DFT.

Values from the calculation:
Largest piezoelectric modulus in C/m2: 0.15

The structure in CIF format:
```
data_SiO2
_symmetry_space_group_name_H-M 'P 64 2 2'
_symmetry_Int_Tables_number 181
_symmetry_space_group_name_Hall 'P 64 2 (0 0 2)'
_cell_length_a 5.1054
_cell_length_b 5.1054
_cell_length_c 5.5914
_cell_angle_alpha 90.00
_cell_angle_beta 90.00
_cell_angle_gamma 120.00
loop_
_atom_site_label
_atom_site_type_symbol
_atom_site_fract_x
_atom_site_fract_y
_atom_site_fract_z
Si1 Si 0.0000 0.5000 0.3333
O1 O 0.2083 0.4165 0.5000
```

[4]
Computed, not measured: a geometry-optimized GaS2NO8 structure at the PBE level of DFT.

Values from the calculation:
Total magnetization in μB/atom: 0.167

The structure in CIF format:
```
data_GaS2NO8
_symmetry_space_group_name_H-M 'P 3 2 1'
_symmetry_Int_Tables_number 150
_symmetry_space_group_name_Hall 'P 3 2"'
_cell_length_a 4.8761
_cell_length_b 4.8761
_cell_length_c 8.5341
_cell_angle_alpha 90.00
_cell_angle_beta 90.00
_cell_angle_gamma 120.00
loop_
_atom_site_label
_atom_site_type_symbol
_atom_site_fract_x
_atom_site_fract_y
_atom_site_fract_z
Ga1 Ga 0.0000 0.0000 0.0000
S1 S 0.3333 0.6667 0.2051
N1 N 0.0000 0.0000 0.5000
O1 O 0.0820 0.3523 0.1446
O2 O 0.3333 0.6667 0.3752
```

[5]
Computed, not measured: a geometry-optimized CrN2 structure at the PBE level of DFT.

Values from the calculation:
Total magnetization in μB/atom: 0.000

The structure in CIF format:
```
data_CrN2
_symmetry_space_group_name_H-M 'P 1'
_symmetry_Int_Tables_number 1
_symmetry_space_group_name_Hall 'P 1'
_cell_length_a 5.396
_cell_length_b 5.760
_cell_length_c 6.226
_cell_angle_alpha 76.79
_cell_angle_beta 83.36
_cell_angle_gamma 62.21
loop_
_atom_site_label
_atom_site_type_symbol
_atom_site_fract_x
_atom_site_fract_y
_atom_site_fract_z
Cr1 Cr 0.000 0.000 0.000
Cr2 Cr 0.041 0.267 0.298
Cr3 Cr 0.114 0.495 0.834
Cr4 Cr 0.444 0.719 0.397
N1 N 0.004 0.272 0.793
N2 N 0.249 0.366 0.094
N3 N 0.309 0.026 0.477
N4 N 0.321 0.774 0.127
N5 N 0.331 0.535 0.609
N6 N 0.812 0.164 0.212
N7 N 0.812 0.559 0.396
N8 N 0.878 0.823 0.887
```

[6]
Computed, not measured: a geometry-optimized NdP12Ru4 structure at the PBE level of DFT.

The structure in CIF format:
```
data_NdP12Ru4
_symmetry_space_group_name_H-M 'I m -3'
_symmetry_Int_Tables_number 204
_symmetry_space_group_name_Hall '-I 2 2 3'
_cell_length_a 8.100
_cell_length_b 8.100
_cell_length_c 8.100
_cell_angle_alpha 90.00
_cell_angle_beta 90.00
_cell_angle_gamma 90.00
loop_
_atom_site_label
_atom_site_type_symbol
_atom_site_fract_x
_atom_site_fract_y
_atom_site_fract_z
Nd1 Nd 0.000 0.000 0.000
P1 P 0.000 0.358 0.144
Ru1 Ru 0.250 0.250 0.250
```

[7]
Computed, not measured: a geometry-optimized K2NaInAs2 structure at the PBE level of DFT.

The structure in CIF format:
```
data_K2NaInAs2
_symmetry_space_group_name_H-M 'I b a m'
_symmetry_Int_Tables_number 72
_symmetry_space_group_name_Hall '-I 2 2c'
_cell_length_a 6.824
_cell_length_b 15.498
_cell_length_c 6.869
_cell_angle_alpha 90.00
_cell_angle_beta 90.00
_cell_angle_gamma 90.00
loop_
_atom_site_label
_atom_site_type_symbol
_atom_site_fract_x
_atom_site_fract_y
_atom_site_fract_z
K1 K 0.239 0.176 0.000
Na1 Na 0.000 0.000 0.250
In1 In 0.000 0.500 0.250
As1 As 0.218 0.398 0.000
```

[8]
Computed, not measured: a geometry-optimized V3Rh structure at the PBE level of DFT.

The structure in CIF format:
```
data_V3Rh
_symmetry_space_group_name_H-M 'P m -3 n'
_symmetry_Int_Tables_number 223
_symmetry_space_group_name_Hall '-P 4n 2 3'
_cell_length_a 4.783
_cell_length_b 4.783
_cell_length_c 4.783
_cell_angle_alpha 90.00
_cell_angle_beta 90.00
_cell_angle_gamma 90.00
loop_
_atom_site_label
_atom_site_type_symbol
_atom_site_fract_x
_atom_site_fract_y
_atom_site_fract_z
V1 V 0.000 0.250 0.500
Rh1 Rh 0.000 0.000 0.000
```

[9]
Computed, not measured: a geometry-optimized RbBe4B3O9 structure at the PBE level of DFT.

Values from the calculation:
Total magnetization in μB/atom: 0.000

The structure in CIF format:
```
data_RbBe4B3O9
_symmetry_space_group_name_H-M 'P n m a'
_symmetry_Int_Tables_number 62
_symmetry_space_group_name_Hall '-P 2ac 2n'
_cell_length_a 8.530
_cell_length_b 13.353
_cell_length_c 6.430
_cell_angle_alpha 90.00
_cell_angle_beta 90.00
_cell_angle_gamma 90.00
loop_
_atom_site_label
_atom_site_type_symbol
_atom_site_fract_x
_atom_site_fract_y
_atom_site_fract_z
Rb1 Rb 0.067 0.250 0.174
Be1 Be 0.062 0.557 0.406
Be2 Be 0.224 0.143 0.643
B1 B 0.048 0.750 0.311
B2 B 0.177 0.535 0.803
O1 O 0.029 0.161 0.650
O2 O 0.053 0.536 0.660
O3 O 0.199 0.750 0.233
O4 O 0.210 0.617 0.918
O5 O 0.237 0.554 0.314
```

[10]
Computed, not measured: a geometry-optimized DyNi3Sn2 structure at the PBE level of DFT.

Values from the calculation:
Total magnetization in μB/atom: 0.001

The structure in CIF format:
```
data_DyNi3Sn2
_symmetry_space_group_name_H-M 'P 6/m m m'
_symmetry_Int_Tables_number 191
_symmetry_space_group_name_Hall '-P 6 2'
_cell_length_a 9.4861
_cell_length_b 9.4861
_cell_length_c 4.0849
_cell_angle_alpha 90.00
_cell_angle_beta 90.00
_cell_angle_gamma 120.00
loop_
_atom_site_label
_atom_site_type_symbol
_atom_site_fract_x
_atom_site_fract_y
_atom_site_fract_z
Dy1 Dy 0.0000 0.0000 0.0000
Dy2 Dy 0.3333 0.6667 0.5000
Ni1 Ni 0.0000 0.5000 0.0000
Ni2 Ni 0.1829 0.3659 0.0000
Sn1 Sn 0.0000 0.3220 0.5000
```

[11]
Computed, not measured: a geometry-optimized Cu2Bi8Pb6S19 structure at the PBE level of DFT.

Values from the calculation:
Total magnetization in μB/atom: 0.000

The structure in CIF format:
```
data_Cu2Bi8Pb6S19
_symmetry_space_group_name_H-M 'P -1'
_symmetry_Int_Tables_number 2
_symmetry_space_group_name_Hall '-P 1'
_cell_length_a 4.063
_cell_length_b 14.206
_cell_length_c 15.942
_cell_angle_alpha 89.35
_cell_angle_beta 82.72
_cell_angle_gamma 81.80
loop_
_atom_site_label
_atom_site_type_symbol
_atom_site_fract_x
_atom_site_fract_y
_atom_site_fract_z
Cu1 Cu 0.046 0.012 0.409
Bi1 Bi 0.207 0.136 0.961
Bi2 Bi 0.279 0.546 0.395
Bi3 Bi 0.397 0.246 0.455
Bi4 Bi 0.409 0.897 0.793
Pb1 Pb 0.008 0.636 0.846
Pb2 Pb 0.184 0.840 0.279
Pb3 Pb 0.401 0.608 0.093
S1 S 0.000 0.500 0.000
S2 S 0.004 0.209 0.276
S3 S 0.068 0.867 0.493
S4 S 0.173 0.589 0.567
S5 S 0.196 0.977 0.125
S6 S 0.208 0.255 0.833
S7 S 0.288 0.311 0.615
S8 S 0.387 0.766 0.954
S9 S 0.404 0.474 0.227
S10 S 0.409 0.013 0.662
```

[12]
Computed, not measured: a geometry-optimized NbSe2 structure at the PBE level of DFT.

The structure in CIF format:
```
data_NbSe2
_symmetry_space_group_name_H-M 'P 63/m m c'
_symmetry_Int_Tables_number 194
_symmetry_space_group_name_Hall '-P 6c 2c'
_cell_length_a 3.4881
_cell_length_b 3.4881
_cell_length_c 13.8731
_cell_angle_alpha 90.00
_cell_angle_beta 90.00
_cell_angle_gamma 120.00
loop_
_atom_site_label
_atom_site_type_symbol
_atom_site_fract_x
_atom_site_fract_y
_atom_site_fract_z
Nb1 Nb 0.3333 0.6667 0.2500
Se1 Se 0.3333 0.6667 0.6282
```

| no. | formation enthalpy at 0 K (eV/atom) | total DFT energy (no corrections) (eV for the cell shown) |
| --- | --- | --- |
| 1 | -0.551 | -29.22 |
| 2 | -0.024 | -102.02 |
| 3 | -3.254 | -71.13 |
| 4 | -1.134 | -67.34 |
| 5 | 0.127 | -100.90 |
| 6 | -0.657 | -235.99 |
| 7 | -0.488 | -74.17 |
| 8 | -0.322 | -71.81 |
| 9 | -2.957 | -498.39 |
| 10 | -0.343 | -96.07 |
| 11 | -0.665 | -153.89 |
| 12 | -1.154 | -39.22 |